Entry 1:
# Cs2CdI4

A relaxed Cs2CdI4 crystal (PBE-GGA, the Materials Project).

Lattice parameters (Å, degrees): 11.100 8.748 15.405 90.00 90.00 90.00
Sites, in units of the cell vectors:
Cs  0.016  0.250  0.168
Cs  0.118  0.750  0.399
Cs  0.382  0.250  0.899
Cs  0.484  0.750  0.668
Cs  0.516  0.250  0.332
Cs  0.618  0.750  0.101
Cs  0.882  0.250  0.601
Cs  0.984  0.750  0.832
Cd  0.225  0.750  0.079
Cd  0.275  0.250  0.579
Cd  0.725  0.750  0.421
Cd  0.775  0.250  0.921
I  0.028  0.250  0.912
I  0.177  0.250  0.410
I  0.180  0.511  0.661
I  0.180  0.989  0.661
I  0.320  0.011  0.161
I  0.320  0.489  0.161
I  0.323  0.750  0.910
I  0.472  0.750  0.412
I  0.528  0.250  0.588
I  0.677  0.250  0.090
I  0.680  0.511  0.839
I  0.680  0.989  0.839
I  0.820  0.011  0.339
I  0.820  0.489  0.339
I  0.823  0.750  0.590
I  0.972  0.750  0.088

Mass density in g/cm3: 3.9
Energy relative to the lowest polymorph listed for this composition in meV/atom: 11
VASP energy in eV per cell: -67.9


Entry 2:
# KPH2SO3

A relaxed KPH2SO3 crystal (PBE-GGA, the Materials Project).

Lattice parameters (Å, degrees): 4.582 4.582 6.017 103.05 103.05 88.15
Sites, in units of the cell vectors:
K  0.000  0.000  0.000
P  0.498  0.498  0.499
H  0.360  0.982  0.577
H  0.982  0.360  0.577
S  0.538  0.538  0.186
O  0.260  0.260  0.492
O  0.415  0.804  0.658
O  0.804  0.415  0.658

Mass density in g/cm3: 2.1
VASP energy in eV per cell: -44.4
Maximum piezoelectric response in C/m²: 0.44


Entry 3:
# Mg14VNi

A relaxed Mg14VNi crystal (PBE-GGA, the Materials Project).

Lattice parameters (Å, degrees): 6.227 6.227 9.901 90.00 90.00 120.00
Sites, in units of the cell vectors:
Mg  0.000  0.000  0.246
Mg  0.000  0.000  0.754
Mg  0.017  0.508  0.257
Mg  0.017  0.508  0.743
Mg  0.331  0.166  0.500
Mg  0.337  0.169  0.000
Mg  0.492  0.508  0.257
Mg  0.492  0.508  0.743
Mg  0.492  0.983  0.257
Mg  0.492  0.983  0.743
Mg  0.831  0.169  0.000
Mg  0.831  0.663  0.000
Mg  0.834  0.166  0.500
Mg  0.834  0.669  0.500
V  0.333  0.667  0.000
Ni  0.333  0.667  0.500

Mass density in g/cm3: 2.2
Energy relative to the lowest polymorph listed for this composition in meV/atom: 8
VASP energy in eV per cell: -35.6


Entry 4:
# Lu2MgSe4

A relaxed Lu2MgSe4 crystal (PBE-GGA, the Materials Project).

Lattice parameters (Å, degrees): 12.999 3.918 13.607 90.00 90.00 90.00
Sites, in units of the cell vectors:
Lu  0.110  0.250  0.081
Lu  0.145  0.250  0.703
Lu  0.355  0.750  0.203
Lu  0.390  0.750  0.581
Lu  0.610  0.250  0.419
Lu  0.645  0.250  0.797
Lu  0.855  0.750  0.297
Lu  0.890  0.750  0.919
Mg  0.126  0.750  0.424
Mg  0.374  0.250  0.924
Mg  0.626  0.750  0.076
Mg  0.874  0.250  0.576
Se  0.023  0.750  0.610
Se  0.035  0.250  0.881
Se  0.215  0.250  0.263
Se  0.250  0.250  0.520
Se  0.250  0.750  0.020
Se  0.285  0.750  0.763
Se  0.465  0.750  0.381
Se  0.477  0.250  0.110
Se  0.523  0.750  0.890
Se  0.535  0.250  0.619
Se  0.715  0.250  0.237
Se  0.750  0.250  0.980
Se  0.750  0.750  0.480
Se  0.785  0.750  0.737
Se  0.965  0.750  0.119
Se  0.977  0.250  0.390

Mass density in g/cm3: 6.6
Energy relative to the lowest polymorph listed for this composition in meV/atom: 83
VASP energy in eV per cell: -143.3


Entry 5:
# Na3C3S3O13

A relaxed Na3C3S3O13 crystal (PBE-GGA, the Materials Project).

Lattice parameters (Å, degrees): 8.747 12.668 14.224 90.00 118.31 90.00
Sites, in units of the cell vectors:
Na  0.019  0.118  0.209
Na  0.019  0.382  0.709
Na  0.236  0.125  0.518
Na  0.236  0.375  0.018
Na  0.477  0.217  0.779
Na  0.477  0.283  0.279
Na  0.523  0.717  0.721
Na  0.523  0.783  0.221
Na  0.764  0.625  0.982
Na  0.764  0.875  0.482
Na  0.981  0.618  0.291
Na  0.981  0.882  0.791
C  0.386  0.076  0.928
C  0.386  0.424  0.428
C  0.390  0.527  0.393
C  0.390  0.973  0.893
C  0.493  0.605  0.467
C  0.493  0.895  0.967
C  0.507  0.105  0.033
C  0.507  0.395  0.533
C  0.610  0.027  0.107
C  0.610  0.473  0.607
C  0.614  0.576  0.572
C  0.614  0.924  0.072
S  0.183  0.155  0.853
S  0.183  0.345  0.353
S  0.307  0.553  0.248
S  0.307  0.947  0.748
S  0.420  0.744  0.439
S  0.420  0.756  0.939
S  0.580  0.244  0.061
S  0.580  0.256  0.561
S  0.693  0.053  0.252
S  0.693  0.447  0.752
S  0.817  0.655  0.647
S  0.817  0.845  0.147
O  0.036  0.534  0.986
O  0.036  0.966  0.486
O  0.055  0.071  0.804
O  0.055  0.429  0.304
O  0.131  0.596  0.196
O  0.131  0.904  0.696
O  0.167  0.210  0.939
O  0.167  0.290  0.439
O  0.184  0.022  0.104
O  0.184  0.478  0.604
O  0.194  0.228  0.776
O  0.194  0.272  0.276
O  0.213  0.572  0.599
O  0.213  0.928  0.099
O  0.233  0.731  0.380
O  0.233  0.769  0.880
O  0.311  0.087  0.379
O  0.311  0.413  0.879
O  0.320  0.052  0.707
O  0.320  0.448  0.207
O  0.438  0.626  0.251
O  0.438  0.874  0.751
O  0.474  0.713  0.048
O  0.474  0.787  0.548
O  0.496  0.697  0.883
O  0.496  0.803  0.383
O  0.504  0.197  0.617
O  0.504  0.303  0.117
O  0.526  0.213  0.452
O  0.526  0.287  0.952
O  0.562  0.126  0.249
O  0.562  0.374  0.749
O  0.680  0.552  0.793
O  0.680  0.948  0.293
O  0.689  0.587  0.121
O  0.689  0.913  0.621
O  0.767  0.231  0.120
O  0.767  0.269  0.620
O  0.787  0.072  0.901
O  0.787  0.428  0.401
O  0.806  0.728  0.724
O  0.806  0.772  0.224
O  0.816  0.522  0.396
O  0.816  0.978  0.896
O  0.833  0.710  0.561
O  0.833  0.790  0.061
O  0.869  0.096  0.304
O  0.869  0.404  0.804
O  0.945  0.571  0.696
O  0.945  0.929  0.196
O  0.964  0.034  0.514
O  0.964  0.466  0.014

Mass density in g/cm3: 2.0
VASP energy in eV per cell: -503.6


Entry 6:
# Ti2TcRu

A relaxed Ti2TcRu crystal (PBE-GGA, the Materials Project).

Lattice parameters (Å, degrees): 4.377 4.377 4.377 60.00 60.00 60.00
Sites, in units of the cell vectors:
Ti  0.250  0.250  0.250
Ti  0.750  0.750  0.750
Tc  0.000  0.000  0.000
Ru  0.500  0.500  0.500

Mass density in g/cm3: 8.3
VASP energy in eV per cell: -38.0


Entry 7:
# Dy3Co11B4

A relaxed Dy3Co11B4 crystal (PBE-GGA, the Materials Project).

Lattice parameters (Å, degrees): 5.025 5.025 9.756 90.00 90.00 120.00
Sites, in units of the cell vectors:
Dy  0.000  0.000  0.000
Dy  0.000  0.000  0.342
Dy  0.000  0.000  0.658
Co  0.000  0.500  0.203
Co  0.000  0.500  0.500
Co  0.000  0.500  0.797
Co  0.333  0.667  0.000
Co  0.500  0.000  0.203
Co  0.500  0.000  0.500
Co  0.500  0.000  0.797
Co  0.500  0.500  0.203
Co  0.500  0.500  0.500
Co  0.500  0.500  0.797
Co  0.667  0.333  0.000
B  0.333  0.667  0.350
B  0.333  0.667  0.650
B  0.667  0.333  0.350
B  0.667  0.333  0.650

Mass density in g/cm3: 9.2
VASP energy in eV per cell: -125.4


Entry 8:
# UTlF5

A relaxed UTlF5 crystal (PBE-GGA, the Materials Project).

Lattice parameters (Å, degrees): 8.319 13.997 8.429 90.00 102.75 90.00
Sites, in units of the cell vectors:
U  0.015  0.244  0.097
U  0.015  0.256  0.597
U  0.447  0.246  0.961
U  0.447  0.254  0.461
U  0.553  0.746  0.539
U  0.553  0.754  0.039
U  0.985  0.744  0.403
U  0.985  0.756  0.903
Tl  0.230  0.520  0.721
Tl  0.230  0.980  0.221
Tl  0.275  0.514  0.198
Tl  0.275  0.986  0.698
Tl  0.725  0.014  0.302
Tl  0.725  0.486  0.802
Tl  0.770  0.020  0.779
Tl  0.770  0.480  0.279
F  0.017  0.601  0.934
F  0.017  0.899  0.434
F  0.066  0.597  0.386
F  0.066  0.903  0.886
F  0.079  0.709  0.676
F  0.079  0.791  0.176
F  0.176  0.183  0.355
F  0.176  0.317  0.855
F  0.226  0.153  0.020
F  0.226  0.347  0.520
F  0.270  0.739  0.970
F  0.270  0.761  0.470
F  0.285  0.188  0.691
F  0.285  0.312  0.191
F  0.469  0.698  0.269
F  0.469  0.802  0.769
F  0.474  0.603  0.579
F  0.474  0.897  0.079
F  0.481  0.102  0.510
F  0.481  0.398  0.010
F  0.519  0.602  0.990
F  0.519  0.898  0.490
F  0.526  0.103  0.921
F  0.526  0.397  0.421
F  0.531  0.198  0.231
F  0.531  0.302  0.731
F  0.715  0.688  0.809
F  0.715  0.812  0.309
F  0.730  0.239  0.530
F  0.730  0.261  0.030
F  0.774  0.653  0.480
F  0.774  0.847  0.980
F  0.824  0.683  0.145
F  0.824  0.817  0.645
F  0.921  0.209  0.824
F  0.921  0.291  0.324
F  0.934  0.097  0.114
F  0.934  0.403  0.614
F  0.983  0.101  0.566
F  0.983  0.399  0.066

Mass density in g/cm3: 7.5
VASP energy in eV per cell: -360.4


Entry 9:
# Hg

A relaxed Hg crystal (PBE-GGA, the Materials Project).

Lattice parameters (Å, degrees): 8.610 8.610 8.610 90.00 90.00 90.00
Sites, in units of the cell vectors:
Hg  0.045  0.125  0.795
Hg  0.061  0.939  0.439
Hg  0.125  0.795  0.045
Hg  0.189  0.189  0.189
Hg  0.205  0.545  0.375
Hg  0.295  0.455  0.875
Hg  0.311  0.811  0.689
Hg  0.375  0.205  0.545
Hg  0.439  0.061  0.939
Hg  0.455  0.875  0.295
Hg  0.545  0.375  0.205
Hg  0.561  0.561  0.561
Hg  0.625  0.705  0.955
Hg  0.689  0.311  0.811
Hg  0.705  0.955  0.625
Hg  0.795  0.045  0.125
Hg  0.811  0.689  0.311
Hg  0.875  0.295  0.455
Hg  0.939  0.439  0.061
Hg  0.955  0.625  0.705

Mass density in g/cm3: 10.4
Energy relative to the lowest polymorph listed for this composition in meV/atom: 1
VASP energy in eV per cell: -6.1


Entry 10:
# LiCeO2

A relaxed LiCeO2 crystal (PBE-GGA, the Materials Project).

Lattice parameters (Å, degrees): 5.890 6.072 5.817 90.00 104.06 90.00
Sites, in units of the cell vectors:
Li  0.166  0.132  0.182
Li  0.166  0.368  0.682
Li  0.834  0.632  0.318
Li  0.834  0.868  0.818
Ce  0.299  0.572  0.195
Ce  0.299  0.928  0.695
Ce  0.701  0.072  0.305
Ce  0.701  0.428  0.805
O  0.067  0.637  0.806
O  0.067  0.863  0.306
O  0.410  0.247  0.986
O  0.410  0.253  0.486
O  0.590  0.747  0.514
O  0.590  0.753  0.014
O  0.933  0.137  0.694
O  0.933  0.363  0.194

Mass density in g/cm3: 5.9
VASP energy in eV per cell: -114.9


Entry 11:
# Sr2MgN2

A relaxed Sr2MgN2 crystal (PBE-GGA, the Materials Project).

Lattice parameters (Å, degrees): 7.398 7.398 7.398 149.73 149.73 43.33
Sites, in units of the cell vectors:
Sr  0.165  0.165  0.000
Sr  0.835  0.835  0.000
Mg  0.500  0.500  0.000
N  0.356  0.356  0.000
N  0.644  0.644  0.000

Mass density in g/cm3: 3.7
VASP energy in eV per cell: -24.1


Entry 12:
# Sr2TaNO3

A relaxed Sr2TaNO3 crystal (PBE-GGA, the Materials Project).

Lattice parameters (Å, degrees): 6.994 6.994 6.994 146.47 146.00 48.50
Sites, in units of the cell vectors:
Sr  0.145  0.145  0.000
Sr  0.855  0.855  0.000
Ta  0.500  0.500  0.000
N  0.000  0.500  0.500
O  0.339  0.339  0.000
O  0.500  0.000  0.500
O  0.661  0.661  0.000

Mass density in g/cm3: 6.6
VASP energy in eV per cell: -55.8


Entry 13:
# Lu2AlOs

A relaxed Lu2AlOs crystal (PBE-GGA, the Materials Project).

Lattice parameters (Å, degrees): 4.842 4.842 4.842 60.00 60.00 60.00
Sites, in units of the cell vectors:
Lu  0.250  0.250  0.250
Lu  0.750  0.750  0.750
Al  0.000  0.000  0.000
Os  0.500  0.500  0.500

Mass density in g/cm3: 11.7
VASP energy in eV per cell: -25.5


Entry 14:
# CdC2S2N2

A relaxed CdC2S2N2 crystal (PBE-GGA, the Materials Project).

Lattice parameters (Å, degrees): 5.905 13.533 7.805 90.00 113.79 90.00
Sites, in units of the cell vectors:
Cd  0.175  0.131  0.116
Cd  0.175  0.369  0.616
Cd  0.825  0.631  0.384
Cd  0.825  0.869  0.884
C  0.276  0.514  0.279
C  0.276  0.986  0.779
C  0.377  0.746  0.486
C  0.377  0.754  0.986
C  0.623  0.246  0.014
C  0.623  0.254  0.514
C  0.724  0.014  0.221
C  0.724  0.486  0.721
S  0.011  0.033  0.763
S  0.011  0.467  0.263
S  0.357  0.207  0.494
S  0.357  0.293  0.994
S  0.643  0.707  0.006
S  0.643  0.793  0.506
S  0.989  0.533  0.737
S  0.989  0.967  0.237
N  0.184  0.713  0.470
N  0.184  0.787  0.970
N  0.463  0.547  0.286
N  0.463  0.953  0.786
N  0.537  0.047  0.214
N  0.537  0.453  0.714
N  0.816  0.213  0.030
N  0.816  0.287  0.530

Mass density in g/cm3: 2.7
VASP energy in eV per cell: -174.0


Quick rundown of energy of formation from the pure elements, same order as above: -1385, -1835, 102, -1868, -892, -648, -370, -3448, 1, -3090, -639, -2782, -368, -130 meV per atom